Run A
Compound: Li5Mn2P3O12
Source: the Materials Project database
Functional: PBE with a Hubbard U
Structure: optimized geometry

Cell lengths 8.503, 8.535, 9.385 Å; angles 90.34, 115.63, 119.44 degrees
Positions (direct):
Li: 0.824 0.753 0.211
Li: 0.665 0.197 0.405
Li: 0.217 0.272 0.909
Li: 0.327 0.777 0.591
Li: 0.925 0.647 0.850
Li: 0.375 0.055 0.107
Li: 0.610 0.930 0.894
Li: 0.314 0.512 0.392
Li: 0.021 0.305 0.104
Li: 0.094 0.218 0.602
O: 0.676 0.162 0.187
O: 0.588 0.589 0.408
O: 0.003 0.157 0.261
O: 0.670 0.523 0.857
O: 0.919 0.144 0.740
O: 0.107 0.852 0.279
O: 0.978 0.461 0.813
O: 0.648 0.857 0.119
O: 0.305 0.841 0.780
O: 0.336 0.484 0.819
O: 0.180 0.024 0.598
O: 0.803 0.042 0.417
O: 0.342 0.396 0.570
O: 0.434 0.245 0.285
O: 0.618 0.187 0.592
O: 0.981 0.831 0.733
O: 0.650 0.496 0.188
O: 0.562 0.740 0.726
O: 0.336 0.129 0.905
O: 0.292 0.422 0.116
O: 0.241 0.793 0.104
O: 0.758 0.191 0.896
O: 0.017 0.520 0.181
O: 0.372 0.766 0.405
P: 0.183 0.734 0.241
P: 0.816 0.247 0.758
P: 0.200 0.954 0.752
P: 0.483 0.537 0.746
P: 0.498 0.442 0.252
P: 0.785 0.055 0.246
Mn: 0.679 0.347 0.022
Mn: 0.726 0.855 0.570
Mn: 0.308 0.645 0.974
Mn: 0.303 0.142 0.446

Theoretical density in g/cm3: 2.8

Run B
Compound: Li5Mn2P3O12
Source: the Materials Project database
Functional: PBE with a Hubbard U
Structure: optimized geometry

Cell lengths 8.889, 8.732, 15.194 Å; angles 55.96, 90.00, 90.00 degrees
Positions (direct):
P: 0.893 0.054 0.843
P: 0.752 0.438 0.006
P: 0.107 0.946 0.157
P: 0.611 0.745 0.153
P: 0.252 0.562 0.494
P: 0.607 0.054 0.343
P: 0.389 0.255 0.847
P: 0.248 0.562 0.994
P: 0.111 0.255 0.347
P: 0.748 0.438 0.506
P: 0.393 0.946 0.657
P: 0.889 0.745 0.653
O: 0.892 0.866 0.530
O: 0.980 0.866 0.243
O: 0.093 0.128 0.305
O: 0.392 0.134 0.970
O: 0.108 0.134 0.470
O: 0.020 0.134 0.757
O: 0.766 0.645 0.192
O: 0.608 0.866 0.030
O: 0.480 0.134 0.257
O: 0.521 0.396 0.802
O: 0.185 0.573 0.895
O: 0.685 0.243 0.046
O: 0.740 0.036 0.800
O: 0.120 0.516 0.074
O: 0.364 0.803 0.627
O: 0.867 0.590 0.444
O: 0.185 0.757 0.454
O: 0.315 0.757 0.954
O: 0.052 0.137 0.066
O: 0.633 0.590 0.944
O: 0.948 0.863 0.934
O: 0.266 0.355 0.308
O: 0.979 0.396 0.302
O: 0.520 0.866 0.743
O: 0.760 0.036 0.300
O: 0.815 0.427 0.105
O: 0.240 0.964 0.700
O: 0.552 0.863 0.434
O: 0.380 0.516 0.574
O: 0.315 0.573 0.395
O: 0.407 0.128 0.805
O: 0.636 0.197 0.373
O: 0.021 0.604 0.698
O: 0.260 0.964 0.200
O: 0.593 0.872 0.195
O: 0.133 0.410 0.556
O: 0.685 0.427 0.605
O: 0.734 0.645 0.692
O: 0.479 0.604 0.198
O: 0.234 0.355 0.808
O: 0.448 0.137 0.566
O: 0.880 0.484 0.926
O: 0.136 0.803 0.127
O: 0.864 0.197 0.873
O: 0.367 0.410 0.056
O: 0.620 0.484 0.426
O: 0.907 0.872 0.695
O: 0.815 0.243 0.546
Mn: 0.050 0.148 0.606
Mn: 0.450 0.148 0.106
Mn: 0.457 0.339 0.404
Mn: 0.950 0.852 0.394
Mn: 0.043 0.339 0.904
Mn: 0.957 0.661 0.096
Mn: 0.543 0.661 0.596
Mn: 0.550 0.852 0.894
Li: 0.599 0.610 0.809
Li: 0.099 0.390 0.691
Li: 0.725 0.375 0.747
Li: 0.775 0.019 0.181
Li: 0.477 0.278 0.648
Li: 0.775 0.375 0.247
Li: 0.675 0.132 0.964
Li: 0.225 0.625 0.753
Li: 0.725 0.019 0.681
Li: 0.275 0.981 0.319
Li: 0.225 0.981 0.819
Li: 0.325 0.868 0.036
Li: 0.401 0.390 0.191
Li: 0.023 0.278 0.148
Li: 0.901 0.610 0.309
Li: 0.825 0.132 0.464
Li: 0.275 0.625 0.253
Li: 0.977 0.722 0.852
Li: 0.523 0.722 0.352
Li: 0.175 0.868 0.536

Theoretical density in g/cm3: 2.9

Most stable to least stable, the ends of the list are run B and run A.

Run A
Compound: MgFe10O16F4
Source: the Materials Project database
Functional: PBE with a Hubbard U
Structure: optimized geometry

Cell lengths 4.910, 13.078, 5.624 Å; angles 103.67, 93.05, 87.16 degrees
Positions (direct):
O: 0.305 0.539 0.412
O: 0.350 0.753 0.785
O: 0.688 0.461 0.616
O: 0.708 0.860 0.411
O: 0.840 0.871 0.922
O: 0.819 0.468 0.104
O: 0.185 0.945 0.688
O: 0.723 0.673 0.017
O: 0.811 0.056 0.300
O: 0.849 0.672 0.520
O: 0.282 0.126 0.579
O: 0.332 0.934 0.174
O: 0.103 0.323 0.494
O: 0.159 0.138 0.083
O: 0.747 0.232 0.702
O: 0.303 0.352 0.953
Fe: 0.008 0.604 0.213
Fe: 0.553 0.809 0.086
Fe: 0.429 0.198 0.892
Fe: 0.491 0.993 0.495
Fe: 0.022 0.998 0.005
Fe: 0.567 0.622 0.680
Fe: 0.020 0.808 0.611
Fe: 0.891 0.364 0.802
Fe: 0.981 0.185 0.405
Fe: 0.534 0.420 0.250
F: 0.229 0.563 0.914
F: 0.669 0.057 0.825
F: 0.217 0.741 0.291
F: 0.644 0.263 0.212
Mg: 0.320 0.436 0.687

Theoretical density in g/cm3: 4.3

Run B
Compound: MgFe10O16F4
Source: the Materials Project database
Functional: PBE with a Hubbard U
Structure: optimized geometry

Cell lengths 4.946, 12.924, 5.598 Å; angles 104.57, 91.55, 88.88 degrees
Positions (direct):
Fe: 0.021 0.991 0.029
Fe: 0.505 0.996 0.511
Fe: 0.009 0.188 0.428
Fe: 0.988 0.403 0.777
Fe: 0.514 0.429 0.241
Fe: 0.531 0.804 0.100
Fe: 0.421 0.192 0.940
Fe: 0.524 0.608 0.681
Fe: 0.987 0.606 0.208
Fe: 0.004 0.805 0.620
O: 0.178 0.947 0.708
O: 0.346 0.146 0.589
O: 0.654 0.453 0.598
O: 0.336 0.341 0.942
O: 0.144 0.328 0.454
O: 0.833 0.254 0.721
O: 0.332 0.747 0.790
O: 0.686 0.664 0.018
O: 0.151 0.135 0.102
O: 0.831 0.056 0.342
O: 0.832 0.665 0.528
O: 0.832 0.464 0.100
O: 0.316 0.557 0.370
O: 0.830 0.865 0.941
O: 0.693 0.857 0.428
O: 0.334 0.935 0.192
F: 0.666 0.061 0.857
F: 0.185 0.747 0.281
F: 0.642 0.259 0.246
F: 0.182 0.546 0.864
Mg: 0.496 0.305 0.596

Theoretical density in g/cm3: 4.4

Most stable to least stable, the ends of the list are run B and run A.

Run A
Compound: MgNiTe4O12
Source: the Materials Project database
Functional: PBE with a Hubbard U
Structure: optimized geometry

Cell lengths 5.789, 11.413, 10.132 Å; angles 27.54, 49.44, 55.06 degrees
Positions (direct):
O: 0.212 0.120 0.621
O: 0.371 0.842 0.071
O: 0.196 0.654 0.606
O: 0.079 0.814 0.734
O: 0.614 0.169 0.874
O: 0.723 0.877 0.342
O: 0.096 0.306 0.745
O: 0.905 0.181 0.229
O: 0.748 0.350 0.375
O: 0.862 0.733 0.180
O: 0.342 0.316 0.090
O: 0.615 0.656 0.903
Ni: 0.315 0.004 0.291
Te: 0.454 0.500 0.508
Te: 0.007 0.001 0.982
Te: 0.538 0.978 0.515
Te: 0.983 0.496 0.000
Mg: 0.800 0.999 0.783

Theoretical density in g/cm3: 5.5

Run B
Compound: MgNiTe4O12
Source: the Materials Project database
Functional: PBE with a Hubbard U
Structure: optimized geometry

Cell lengths 5.838, 11.809, 10.668 Å; angles 26.50, 47.74, 53.01 degrees
Positions (direct):
O: 0.867 0.681 0.251
O: 0.748 0.853 0.354
O: 0.101 0.820 0.721
O: 0.603 0.666 0.896
O: 0.891 0.193 0.237
O: 0.614 0.170 0.902
O: 0.086 0.305 0.734
O: 0.229 0.646 0.617
O: 0.369 0.832 0.075
O: 0.745 0.380 0.340
O: 0.226 0.119 0.631
O: 0.358 0.331 0.070
Te: 0.987 0.516 0.975
Te: 0.475 0.515 0.435
Te: 0.985 0.984 0.995
Te: 0.501 0.986 0.534
Mg: 0.669 0.495 0.668
Ni: 0.309 0.002 0.310

Theoretical density in g/cm3: 5.4

Most stable to least stable, the ends of the list are run B and run A.

Run A
Compound: Li2NiP4O12
Source: the Materials Project database
Functional: PBE with a Hubbard U
Structure: optimized geometry

Cell lengths 9.126, 12.887, 9.378 Å; angles 68.66, 90.00, 110.86 degrees
Positions (direct):
O: 0.041 0.879 0.992
O: 0.720 0.066 0.278
O: 0.959 0.121 0.871
O: 0.970 0.566 0.528
O: 0.517 0.219 0.862
O: 0.534 0.206 0.579
O: 0.584 0.461 0.265
O: 0.733 0.281 0.331
O: 0.767 0.719 0.112
O: 0.284 0.706 0.330
O: 0.709 0.621 0.621
O: 0.291 0.379 0.242
O: 0.983 0.781 0.581
O: 0.160 0.072 0.043
O: 0.280 0.934 0.344
O: 0.220 0.066 0.778
O: 0.716 0.294 0.036
O: 0.660 0.072 0.543
O: 0.416 0.539 0.726
O: 0.840 0.928 0.114
O: 0.530 0.434 0.594
O: 0.466 0.794 0.786
O: 0.834 0.961 0.515
O: 0.780 0.934 0.844
O: 0.784 0.706 0.830
O: 0.541 0.879 0.492
O: 0.017 0.219 0.362
O: 0.470 0.566 0.028
O: 0.791 0.379 0.742
O: 0.334 0.961 0.015
O: 0.483 0.781 0.082
O: 0.090 0.428 0.364
O: 0.459 0.121 0.371
O: 0.966 0.794 0.286
O: 0.267 0.719 0.612
O: 0.030 0.434 0.094
O: 0.910 0.572 0.793
O: 0.233 0.281 0.831
O: 0.590 0.428 0.864
O: 0.410 0.572 0.293
O: 0.034 0.206 0.079
O: 0.216 0.294 0.536
O: 0.209 0.621 0.121
O: 0.084 0.461 0.765
O: 0.166 0.039 0.476
O: 0.916 0.539 0.226
O: 0.666 0.039 0.976
O: 0.340 0.928 0.614
Li: 0.250 0.500 0.602
Li: 0.000 0.000 0.652
Li: 0.500 0.000 0.152
Li: 0.750 0.500 0.402
Li: 0.250 0.500 0.902
Li: 0.750 0.500 0.102
Li: 0.500 0.000 0.852
Li: 0.000 0.000 0.352
P: 0.452 0.497 0.202
P: 0.351 0.683 0.205
P: 0.601 0.183 0.455
P: 0.899 0.817 0.137
P: 0.548 0.503 0.699
P: 0.149 0.317 0.387
P: 0.952 0.497 0.701
P: 0.798 0.003 0.949
P: 0.048 0.503 0.199
P: 0.851 0.683 0.705
P: 0.702 0.997 0.452
P: 0.298 0.003 0.449
P: 0.202 0.997 0.952
P: 0.101 0.183 0.955
P: 0.399 0.817 0.638
P: 0.649 0.317 0.887
Ni: 0.875 0.250 0.185
Ni: 0.375 0.250 0.685
Ni: 0.625 0.750 0.936
Ni: 0.125 0.750 0.435

Maximum piezoelectric response in C/m2: 1.28
Theoretical density in g/cm3: 2.7

Run B
Compound: Li2NiP4O12
Source: the Materials Project database
Functional: PBE with a Hubbard U
Structure: optimized geometry

Cell lengths 4.633, 9.306, 9.321 Å; angles 90.01, 90.86, 90.69 degrees
Positions (direct):
O: 0.147 0.867 0.638
O: 0.755 0.679 0.051
O: 0.140 0.134 0.135
O: 0.750 0.179 0.948
O: 0.851 0.365 0.136
O: 0.243 0.453 0.679
O: 0.243 0.323 0.953
O: 0.759 0.548 0.323
O: 0.247 0.553 0.180
O: 0.755 0.451 0.824
O: 0.247 0.824 0.052
O: 0.157 0.364 0.364
O: 0.246 0.053 0.823
O: 0.243 0.678 0.455
O: 0.755 0.823 0.450
O: 0.149 0.638 0.867
O: 0.750 0.948 0.179
O: 0.248 0.179 0.553
O: 0.754 0.050 0.679
O: 0.853 0.135 0.366
O: 0.846 0.637 0.638
O: 0.244 0.951 0.323
O: 0.759 0.322 0.549
O: 0.856 0.867 0.867
P: 0.003 0.475 0.252
P: 0.998 0.525 0.749
P: 0.002 0.749 0.974
P: 0.001 0.974 0.750
P: 0.998 0.026 0.252
P: 0.997 0.749 0.526
P: 0.004 0.252 0.475
P: 0.996 0.252 0.026
Li: 0.500 0.496 0.997
Li: 0.501 0.003 0.002
Li: 0.500 0.502 0.501
Li: 0.500 0.997 0.496
Ni: 0.501 0.221 0.748
Ni: 0.502 0.756 0.221

Theoretical density in g/cm3: 3.2

Most stable to least stable, the ends of the list are run A and run B.

Run A
Compound: NdMgCuW2O8
Source: the Materials Project database
Functional: PBE with a Hubbard U
Structure: optimized geometry

Cell lengths 5.420, 6.049, 6.176 Å; angles 107.54, 89.36, 117.51 degrees
Positions (direct):
O: 0.449 0.646 0.976
O: 0.327 0.198 0.652
O: 0.891 0.615 0.760
O: 0.876 0.186 0.368
O: 0.870 0.222 0.867
O: 0.362 0.160 0.089
O: 0.911 0.707 0.199
O: 0.403 0.646 0.534
Cu: 0.797 0.652 0.479
W: 0.132 0.419 0.667
W: 0.610 0.396 0.952
Nd: 0.397 0.910 0.335
Mg: 0.930 0.997 0.039

Theoretical density in g/cm3: 7.1

Run B
Compound: NdMgCuW2O8
Source: the Materials Project database
Functional: PBE with a Hubbard U
Structure: optimized geometry

Cell lengths 5.320, 6.008, 6.515 Å; angles 104.16, 92.61, 112.98 degrees
Positions (direct):
O: 0.384 0.610 0.922
O: 0.359 0.187 0.628
O: 0.913 0.604 0.731
O: 0.829 0.193 0.818
O: 0.339 0.645 0.505
O: 0.863 0.140 0.373
O: 0.880 0.657 0.176
O: 0.404 0.152 0.045
Nd: 0.371 0.899 0.275
Mg: 0.371 0.898 0.775
W: 0.093 0.365 0.613
W: 0.649 0.432 0.936
Cu: 0.871 0.898 0.774

Theoretical density in g/cm3: 6.6

Most stable to least stable, the ends of the list are run A and run B.